Entry 1:
Density functional theory data (PBE-GGA) for a geometry-optimized Sb3TeClO6 structure.

Geometry as POSCAR:
```
Sb3TeClO6
1.0
7.2742 -2.2291 -2.9584
7.3435 -3.4179 1.0131
1.8489 -9.0736 -2.7483
O Sb Te Cl
6 3 1 1
direct
0.7085 0.7085 0.5096
0.3008 0.3008 0.4846
0.7736 0.7736 0.7253
0.2941 0.2941 0.9205
0.7068 0.7068 0.0766
0.2240 0.2240 0.2740
0.1575 0.1575 0.5146
0.1593 0.1593 0.1455
0.8412 0.8412 0.8569
0.8376 0.8376 0.4924
0.4967 0.4967 0.4999
```

Summary:
The value obtained for the spin magnetization is 0.0 Bohr magnetons per cell. Its space group is Cm. The calculation puts the calculated formation energy at -1.596 eV per atom.



Entry 2:
Density functional theory data (PBE-GGA) for a geometry-optimized Sn structure.

Geometry as POSCAR:
```
Sn
1.0
12.3652 0.0000 0.0000
0.0000 12.3652 0.0000
0.0000 0.0000 12.3652
Sn
46
direct
0.5000 0.6172 0.1924
0.1835 0.8165 0.8165
0.6172 0.8076 0.5000
0.5000 0.3828 0.8076
0.3165 0.6835 0.3165
0.0000 0.3076 0.1172
0.8828 0.0000 0.3076
0.5000 0.7500 0.0000
0.5000 0.3828 0.1924
0.6835 0.3165 0.3165
0.8828 0.0000 0.6924
0.1835 0.1835 0.8165
0.3828 0.8076 0.5000
0.1835 0.1835 0.1835
0.3165 0.3165 0.3165
0.8076 0.5000 0.3828
0.1172 0.0000 0.3076
0.0000 0.6924 0.1172
0.8165 0.8165 0.8165
0.0000 0.3076 0.8828
0.6172 0.1924 0.5000
0.6924 0.8828 0.0000
0.2500 0.0000 0.5000
0.8076 0.5000 0.6172
0.1924 0.5000 0.3828
0.3076 0.8828 0.0000
0.1924 0.5000 0.6172
0.0000 0.6924 0.8828
0.8165 0.1835 0.1835
0.1172 0.0000 0.6924
0.3828 0.1924 0.5000
0.1835 0.8165 0.1835
0.3076 0.1172 0.0000
0.5000 0.6172 0.8076
0.8165 0.1835 0.8165
0.6924 0.1172 0.0000
0.6835 0.6835 0.6835
0.0000 0.5000 0.7500
0.3165 0.3165 0.6835
0.6835 0.6835 0.3165
0.7500 0.0000 0.5000
0.0000 0.5000 0.2500
0.3165 0.6835 0.6835
0.6835 0.3165 0.6835
0.8165 0.8165 0.1835
0.5000 0.2500 0.0000
```

Summary:
The polymorph energy (0 for the lowest one) comes out at 0.03 eV per formula unit. Its space group is Pm-3n. The calculation puts the calculated formation energy at 0.030 eV per atom.



Entry 3:
Density functional theory data (PBE-GGA) for a geometry-optimized Rb4Nb11O30 structure.

Geometry as POSCAR:
```
Rb4Nb11O30
1.0
14.8800 -3.8073 0.0000
14.8800 3.8073 0.0000
13.9059 0.0000 6.5221
Nb O Rb
11 30 4
direct
0.8041 0.3040 0.8041
0.3040 0.8041 0.8041
0.1959 0.1959 0.6960
0.6960 0.1959 0.1959
0.1959 0.6960 0.1959
0.0000 0.5000 0.0000
0.5000 0.0000 0.0000
0.0000 0.0000 0.5000
0.1001 0.1001 0.1001
0.8999 0.8999 0.8999
0.8041 0.8041 0.3040
0.0017 0.0017 0.6286
0.1932 0.8218 0.1932
0.8679 0.5194 0.5194
0.1229 0.1229 0.6962
0.5194 0.8679 0.5194
0.8068 0.1782 0.8068
0.7016 0.0729 0.7016
0.9983 0.9983 0.3714
0.4806 0.1321 0.4806
0.3038 0.8771 0.8771
0.6286 0.0017 0.0017
0.0017 0.6286 0.0017
0.2984 0.2984 0.9271
0.8068 0.8068 0.1782
0.9983 0.3714 0.9983
0.5194 0.5194 0.8679
0.1229 0.6962 0.1229
0.0729 0.7016 0.7016
0.7016 0.7016 0.0729
0.2984 0.9271 0.2984
0.1782 0.8068 0.8068
0.9271 0.2984 0.2984
0.6962 0.1229 0.1229
0.4806 0.4806 0.1321
0.1321 0.4806 0.4806
0.8218 0.1932 0.1932
0.8771 0.8771 0.3038
0.3714 0.9983 0.9983
0.8771 0.3038 0.8771
0.1932 0.1932 0.8218
0.5477 0.5477 0.5477
0.2673 0.2673 0.2673
0.4523 0.4523 0.4523
0.7327 0.7327 0.7327
```

Summary:
The value obtained for the spin magnetization is 1.0 Bohr magnetons per cell. Its space group is R-3m. The calculation puts the calculated formation energy at -2.928 eV per atom.



Entry 4:
Density functional theory data (PBE-GGA) for a geometry-optimized BC5 structure.

Geometry as POSCAR:
```
BC5
1.0
-3.4717 1.8797 2.0546
1.9516 3.6194 -1.7221
-2.2018 -2.8208 -2.6658
C B
10 2
direct
0.1882 0.0637 0.0632
0.3164 0.4397 0.4238
0.8118 0.9363 0.9368
0.6836 0.5603 0.5762
0.3163 0.0961 0.7714
0.6837 0.9039 0.2286
0.2015 0.7315 0.3995
0.6858 0.2167 0.8857
0.7985 0.2685 0.6005
0.3142 0.7833 0.1143
0.1906 0.3951 0.7327
0.8094 0.6049 0.2673
```

Summary:
The value obtained for the spin magnetization is 0.0 Bohr magnetons per cell. The polymorph energy (0 for the lowest one) comes out at 0.32 eV per formula unit. Its space group is P-1. The calculation puts the calculated formation energy at 0.283 eV per atom.



Entry 5:
Density functional theory data (PBE-GGA) for a geometry-optimized Mg149Ni structure.

Geometry as POSCAR:
```
Mg149Ni
1.0
13.7745 -7.9527 0.0000
0.0000 15.9055 0.0000
0.0000 0.0000 15.6372
Mg Ni
149 1
direct
0.1987 0.9996 0.6683
0.6673 0.7337 0.5000
0.0002 0.3996 0.3327
0.8724 0.9362 0.8412
0.4667 0.1333 0.5000
0.2650 0.9341 0.8346
0.6002 0.8001 0.6672
0.3997 0.1998 0.6664
0.0002 0.3996 0.6673
0.8660 0.1340 0.1671
0.2662 0.5324 0.8340
0.3978 0.1989 0.0000
0.6004 0.6006 0.3327
0.8664 0.5329 0.8334
0.0663 0.3327 0.5000
0.8004 0.4002 0.3334
0.0638 0.1276 0.8412
0.3994 0.3996 0.3327
0.8667 0.3334 0.5000
0.4667 0.3334 0.5000
0.4668 0.5332 0.1660
0.6666 0.5333 0.5000
0.6691 0.7350 0.1654
0.9999 0.3981 0.0000
0.5997 0.4003 0.0000
0.5998 0.1996 0.6666
0.2680 0.1340 0.1671
0.0659 0.3309 0.1654
0.1987 0.1990 0.3317
0.8664 0.3335 0.8334
0.8660 0.1340 0.8329
0.0663 0.7337 0.5000
0.6667 0.3333 0.1666
0.8096 0.0017 0.0000
0.4000 0.8000 0.6670
0.1997 0.5998 0.0000
0.8011 0.1989 0.0000
0.6665 0.1336 0.1666
0.4002 0.5998 0.0000
0.3994 0.3996 0.6673
0.0638 0.1276 0.1588
0.2665 0.7335 0.5000
0.3994 0.9998 0.3327
0.8010 0.8013 0.6683
0.1987 0.1990 0.6683
0.6667 0.3333 0.8334
0.0664 0.5332 0.5000
0.8096 0.8079 0.0000
0.6665 0.5329 0.1666
0.2663 0.9337 0.5000
0.0004 0.1990 0.3317
0.4668 0.9335 0.1660
0.2665 0.5329 0.5000
0.4676 0.7338 0.1660
0.2663 0.3327 0.5000
0.8005 0.4003 0.0000
0.0000 0.0000 0.3311
0.2000 0.6000 0.3330
0.4002 0.8003 0.0000
0.1921 0.0017 0.0000
0.8010 0.9996 0.6683
0.4000 0.6000 0.6670
0.8667 0.5333 0.5000
0.9983 0.1904 0.0000
0.6019 0.6018 0.0000
0.4676 0.7338 0.8340
0.1984 0.3968 0.0000
0.0638 0.9362 0.8412
0.4668 0.9335 0.8340
0.6673 0.9337 0.5000
0.8002 0.6003 0.6664
0.6665 0.1336 0.8334
0.0638 0.9362 0.1588
0.8669 0.7339 0.5000
0.4668 0.9336 0.5000
0.0665 0.5332 0.8340
0.6691 0.9341 0.8346
0.4000 0.6000 0.3330
0.4000 0.8000 0.3330
0.1999 0.8001 0.3328
0.8664 0.5329 0.1666
0.8724 0.9362 0.1588
0.1999 0.3998 0.6672
0.0665 0.5332 0.1660
0.9983 0.8079 0.0000
0.8011 0.6022 0.0000
0.2650 0.9341 0.1654
0.6667 0.3333 0.5000
0.2662 0.7338 0.8340
0.2680 0.1340 0.8329
0.1999 0.3998 0.3328
0.6691 0.7350 0.8346
0.3997 0.1998 0.3336
0.6691 0.9341 0.1654
0.8660 0.7320 0.1671
0.4671 0.3335 0.1666
0.0002 0.6006 0.6673
0.8669 0.9334 0.5000
0.8010 0.8013 0.3317
0.4671 0.3335 0.8334
0.1921 0.1904 0.0000
0.6019 0.0001 0.0000
0.6004 0.6006 0.6673
0.4668 0.5332 0.5000
0.2650 0.3309 0.8346
0.3994 0.9998 0.6673
0.0659 0.7350 0.1654
0.8669 0.1331 0.5000
0.6032 0.8016 0.0000
0.0004 0.8013 0.3317
0.6004 0.9998 0.3327
0.0004 0.8013 0.6683
0.0002 0.6006 0.3327
0.3982 0.3981 0.0000
0.5998 0.1996 0.3334
0.4671 0.1336 0.1666
0.6665 0.5329 0.8334
0.8002 0.1998 0.6664
0.8002 0.1998 0.3336
0.0666 0.9334 0.5000
0.8004 0.4002 0.6666
0.4668 0.5332 0.8340
0.2000 0.6000 0.6670
0.5998 0.4002 0.6666
0.1999 0.8001 0.6672
0.1984 0.8016 0.0000
0.2662 0.7338 0.1660
0.6666 0.1333 0.5000
0.0004 0.1990 0.6683
0.2661 0.1331 0.5000
0.0659 0.3309 0.8346
0.2650 0.3309 0.1654
0.8002 0.6003 0.3336
0.8660 0.7320 0.8329
0.5998 0.4002 0.3334
0.8010 0.9996 0.3317
0.4671 0.1336 0.8334
0.0000 0.0000 0.6689
0.8664 0.3335 0.1666
0.4671 0.7335 0.5000
0.0666 0.1331 0.5000
0.2662 0.5324 0.1660
0.0659 0.7350 0.8346
0.1987 0.9996 0.3317
0.3982 0.0001 0.0000
0.6002 0.8001 0.3328
0.9999 0.6018 0.0000
0.5997 0.1995 0.0000
0.6004 0.9998 0.6673
0.0000 0.0000 0.0000
```

Summary:
The value obtained for the spin magnetization is 0.0 Bohr magnetons per cell. Its space group is P-6m2. The calculation puts the calculated formation energy at -0.024 eV per atom.



Entry 6:
Density functional theory data (PBE-GGA) for a geometry-optimized Li5SbS structure.

Geometry as POSCAR:
```
Li5SbS
1.0
-3.1971 5.4455 4.9574
-10.2126 -5.0568 -1.0315
-6.9077 -11.6301 8.3203
Li Sb S
40 8 8
direct
0.4249 0.7345 0.2104
0.0895 0.0135 0.8242
0.2603 0.4254 0.0868
0.7397 0.5746 0.9132
0.0694 0.7332 0.2101
0.9277 0.7166 0.5168
0.2508 0.7331 0.8742
0.0723 0.2834 0.4832
0.7492 0.2669 0.1258
0.5956 0.9831 0.1778
0.5817 0.7122 0.5163
0.9249 0.2655 0.2896
0.9183 0.7122 0.0163
0.4105 0.0135 0.3242
0.0751 0.7345 0.7104
0.7527 0.9777 0.0121
0.7473 0.9777 0.5121
0.2543 0.4670 0.7596
0.2527 0.0223 0.4879
0.7508 0.2669 0.6258
0.4044 0.0169 0.8222
0.4183 0.2878 0.4837
0.9044 0.9831 0.6778
0.5694 0.2668 0.2899
0.4277 0.2834 0.9832
0.2492 0.7331 0.3742
0.9306 0.2668 0.7899
0.0956 0.0169 0.3222
0.2473 0.0223 0.9879
0.5895 0.9865 0.6758
0.9105 0.9865 0.1758
0.7457 0.5330 0.2404
0.5751 0.2655 0.7896
0.7603 0.5746 0.4132
0.0817 0.2878 0.9837
0.2457 0.4670 0.2596
0.5723 0.7166 0.0168
0.4306 0.7332 0.7101
0.2397 0.4254 0.5868
0.7543 0.5330 0.7404
0.2465 0.0110 0.6621
0.7535 0.9890 0.3379
0.7549 0.2626 0.9569
0.2451 0.7374 0.0431
0.2549 0.7374 0.5431
0.7465 0.9890 0.8379
0.7451 0.2626 0.4569
0.2535 0.0110 0.1621
0.2585 0.5144 0.8886
0.7499 0.7652 0.2089
0.2499 0.2348 0.2911
0.2415 0.5144 0.3886
0.2501 0.2348 0.7911
0.7501 0.7652 0.7089
0.7415 0.4856 0.1114
0.7585 0.4856 0.6114
```

Summary:
The value obtained for the spin magnetization is 0.0 Bohr magnetons per cell. The polymorph energy (0 for the lowest one) comes out at 0.26 eV per formula unit. Its space group is P2_1/c. The calculation puts the calculated formation energy at -0.920 eV per atom.